Entry from the Materials Project database: a relaxed BaSrTbNbO6 crystal (GGA-PBE).

The structure in POSCAR format:
```
BaSrTbNbO6
1.0
8.465 0.000 0.000
0.000 8.463 0.000
0.000 0.000 8.466
Ba Sr Tb Nb O
4 4 4 4 24
direct
0.000 0.000 0.000
0.500 0.500 0.500
0.500 0.000 0.500
0.500 0.500 0.000
0.000 0.500 0.500
0.500 0.000 0.000
0.000 0.500 0.000
0.000 0.000 0.500
0.247 0.250 0.249
0.753 0.750 0.249
0.753 0.250 0.751
0.247 0.750 0.751
0.754 0.751 0.749
0.246 0.249 0.749
0.246 0.751 0.251
0.754 0.249 0.251
0.986 0.211 0.282
0.014 0.789 0.282
0.014 0.211 0.718
0.986 0.789 0.718
0.278 0.986 0.213
0.278 0.014 0.787
0.722 0.014 0.213
0.722 0.986 0.787
0.213 0.284 0.985
0.787 0.284 0.015
0.213 0.716 0.015
0.787 0.716 0.985
0.515 0.274 0.229
0.485 0.726 0.229
0.485 0.274 0.771
0.515 0.726 0.771
0.218 0.514 0.280
0.218 0.486 0.720
0.782 0.486 0.280
0.782 0.514 0.720
0.271 0.226 0.513
0.729 0.226 0.487
0.271 0.774 0.487
0.729 0.774 0.513
```

- Density: 6.27 Mg/m³
- Space-group type: P222, No. 16

***

Entry from the Materials Project database: a relaxed Na6Mg2Si3Ge2S3O24 crystal (GGA-PBE).

The structure in POSCAR format:
```
Na6Mg2Si3Ge2S3O24
1.0
-0.723 2.434 8.460
-4.457 -7.142 -2.814
17.406 -12.625 4.563
Na Mg Si Ge S O
18 6 9 6 9 72
direct
0.372 0.352 0.246
0.001 0.636 0.238
0.991 0.359 0.745
0.382 0.029 0.745
0.299 0.341 0.580
0.649 0.976 0.596
0.305 0.961 0.067
0.654 0.681 0.084
0.988 0.680 0.918
0.326 0.292 0.909
0.982 0.303 0.432
0.327 0.035 0.415
0.998 0.982 0.503
0.999 0.016 0.994
0.660 0.320 0.828
0.659 0.324 0.334
0.315 0.647 0.159
0.308 0.663 0.661
0.014 0.009 0.352
0.019 0.011 0.849
0.664 0.331 0.689
0.661 0.324 0.185
0.314 0.652 0.020
0.317 0.661 0.523
0.306 0.990 0.255
0.307 0.318 0.756
0.719 0.001 0.750
0.947 0.337 0.585
0.352 0.032 0.590
0.949 0.611 0.087
0.370 0.331 0.088
0.347 0.962 0.919
0.344 0.382 0.418
0.012 0.051 0.650
0.031 0.988 0.141
0.650 0.317 0.987
0.624 0.325 0.496
0.346 0.669 0.316
0.376 0.705 0.806
0.706 0.716 0.251
0.003 0.287 0.251
0.009 0.720 0.752
0.675 0.631 0.584
0.682 0.046 0.085
0.625 0.664 0.919
0.024 0.368 0.917
0.626 0.956 0.417
0.041 0.663 0.411
0.211 0.014 0.312
0.809 0.822 0.302
0.992 0.202 0.309
0.226 0.193 0.813
0.998 0.788 0.812
0.829 0.004 0.807
0.803 0.973 0.684
0.170 0.237 0.693
0.033 0.838 0.701
0.774 0.802 0.192
0.022 0.191 0.198
0.166 0.943 0.192
0.865 0.354 0.645
0.479 0.126 0.646
0.653 0.519 0.634
0.864 0.516 0.148
0.656 0.131 0.137
0.474 0.355 0.151
0.456 0.277 0.028
0.814 0.517 0.025
0.705 0.147 0.027
0.425 0.164 0.527
0.689 0.546 0.523
0.806 0.300 0.521
0.543 0.679 0.974
0.138 0.455 0.970
0.327 0.847 0.976
0.546 0.861 0.471
0.319 0.479 0.474
0.156 0.697 0.464
0.130 0.641 0.354
0.511 0.869 0.360
0.373 0.499 0.352
0.093 0.467 0.861
0.371 0.868 0.854
0.512 0.639 0.862
0.012 0.812 0.405
0.802 0.978 0.411
0.175 0.191 0.413
0.004 0.193 0.915
0.175 0.986 0.915
0.801 0.807 0.915
0.954 0.149 0.583
0.160 0.025 0.597
0.833 0.798 0.584
0.953 0.810 0.086
0.844 0.032 0.090
0.178 0.145 0.089
0.693 0.169 0.749
0.496 0.345 0.745
0.861 0.546 0.745
0.696 0.544 0.254
0.855 0.319 0.245
0.491 0.158 0.247
0.631 0.495 0.919
0.850 0.364 0.924
0.521 0.164 0.924
0.636 0.128 0.416
0.523 0.352 0.425
0.878 0.500 0.413
0.357 0.501 0.076
0.148 0.663 0.079
0.532 0.871 0.079
0.347 0.853 0.575
0.520 0.655 0.578
0.141 0.485 0.575
0.306 0.798 0.258
0.520 0.686 0.252
0.169 0.462 0.251
0.296 0.502 0.764
0.175 0.705 0.752
0.518 0.829 0.747
```

- Density: 2.96 Mg/m³
- Space-group type: P1, No. 1

***

Entry from the Materials Project database: a relaxed In11S16 crystal (GGA-PBE).

The structure in POSCAR format:
```
In11S16
1.0
7.796 0.000 0.000
0.000 7.796 0.000
0.000 0.000 11.035
In S
11 16
direct
0.749 0.500 0.868
0.266 0.000 0.376
0.251 0.500 0.868
0.734 0.000 0.376
0.500 0.251 0.132
0.000 0.734 0.624
0.500 0.749 0.132
0.000 0.266 0.624
0.000 0.000 0.000
0.500 0.000 0.746
0.000 0.500 0.254
0.736 0.000 0.129
0.235 0.500 0.638
0.264 0.000 0.129
0.765 0.500 0.638
0.500 0.765 0.362
0.000 0.264 0.871
0.500 0.235 0.362
0.000 0.736 0.871
0.266 0.500 0.111
0.775 0.000 0.618
0.734 0.500 0.111
0.225 0.000 0.618
0.500 0.734 0.889
0.000 0.225 0.382
0.500 0.266 0.889
0.000 0.775 0.382
```

- Density: 4.40 Mg/m³
- Space-group type: P-4m2, No. 115

***

Energy of formation for the records above, in order: -3322 -9144 -2151 kJ/mol of formula units
DFT total energy for the records above, in order: -7.834 -6.153 -4.100 eV per atom